Entry 1:
# Mg14TiFe (GGA-PBE, relaxed)
# formation enthalpy at 0 K	126	meV per atom
# ΔE to the lowest computed polymorph	0.000	eV per atom
# total DFT energy (no corrections)	-2.30	eV per atom
data_Mg14TiFe
_chemical_formula_sum 'Mg14 Ti1 Fe1'
_space_group_name_H-M_alt 'P -6 m 2'
_space_group_IT_number 187
_space_group_name_Hall 'P -6 2'
_cell_length_a 6.2992
_cell_length_b 6.2992
_cell_length_c 9.9675
_cell_angle_alpha 90.00
_cell_angle_beta 90.00
_cell_angle_gamma 120.00
loop_
_atom_site_label
_atom_site_type_symbol
_atom_site_fract_x
_atom_site_fract_y
_atom_site_fract_z
Mg1 Mg 0.0000 0.0000 0.2464
Mg2 Mg 0.0142 0.5071 0.2552
Mg3 Mg 0.3320 0.1660 0.5000
Mg4 Mg 0.3383 0.1692 0.0000
Ti1 Ti 0.3333 0.6667 0.0000
Fe1 Fe 0.3333 0.6667 0.5000

Entry 2:
# CeSb3Pd (GGA-PBE, relaxed)
# formation enthalpy at 0 K	-380	meV per atom
# total DFT energy (no corrections)	-5.08	eV per atom
data_CeSb3Pd
_chemical_formula_sum 'Ce2 Sb6 Pd2'
_space_group_name_H-M_alt 'P 4/n m m'
_space_group_IT_number 129
_cell_length_a 5.467
_cell_length_b 5.467
_cell_length_c 9.056
_cell_angle_alpha 90.00
_cell_angle_beta 90.00
_cell_angle_gamma 90.00
loop_
_space_group_symop_operation_xyz
'x,y,z'
'-x,-y,-z'
'-y+1/2,x,z'
'y+1/2,-x,-z'
'-x+1/2,-y+1/2,z'
'x+1/2,y+1/2,-z'
'y,-x+1/2,z'
'-y,x+1/2,-z'
'x+1/2,-y,-z'
'-x+1/2,y,z'
'-y,-x,-z'
'y,x,z'
'-x,y+1/2,-z'
'x,-y+1/2,z'
'y+1/2,x+1/2,-z'
'-y+1/2,-x+1/2,z'
loop_
_atom_site_label
_atom_site_type_symbol
_atom_site_fract_x
_atom_site_fract_y
_atom_site_fract_z
Ce1 Ce 0.250 0.250 0.238
Sb1 Sb 0.250 0.250 0.618
Sb2 Sb 0.250 0.750 0.000
Sb3 Sb 0.250 0.750 0.500
Pd1 Pd 0.250 0.250 0.909

Entry 3:
# MgZn2 (GGA-PBE, relaxed)
# formation enthalpy at 0 K	-10	meV per atom
# total DFT energy (no corrections)	-1.38	eV per atom
data_MgZn2
_chemical_formula_sum 'Mg4 Zn8'
_space_group_name_H-M_alt 'C 1 2/m 1'
_space_group_IT_number 12
_cell_length_a 10.816
_cell_length_b 2.944
_cell_length_c 6.785
_cell_angle_alpha 90.00
_cell_angle_beta 107.51
_cell_angle_gamma 90.00
loop_
_space_group_symop_operation_xyz
'x,y,z'
'-x,-y,-z'
'-x,y,-z'
'x,-y,z'
'x+1/2,y+1/2,z'
'-x+1/2,-y+1/2,-z'
'-x+1/2,y+1/2,-z'
'x+1/2,-y+1/2,z'
loop_
_atom_site_label
_atom_site_type_symbol
_atom_site_fract_x
_atom_site_fract_y
_atom_site_fract_z
Mg1 Mg 0.188 0.000 0.145
Zn1 Zn 0.031 0.500 0.795
Zn2 Zn 0.133 0.000 0.522

Entry 4:
# Sm8MgTi4O20 (GGA-PBE, relaxed)
# formation enthalpy at 0 K	-3577	meV per atom
# ΔE to the lowest computed polymorph	0.036	eV per atom
# total DFT energy (no corrections)	-8.31	eV per atom
data_Sm8MgTi4O20
_chemical_formula_sum 'Sm8 Mg1 Ti4 O20'
_space_group_name_H-M_alt 'P 1 m 1'
_space_group_IT_number 6
_cell_length_a 8.088
_cell_length_b 3.665
_cell_length_c 15.427
_cell_angle_alpha 90.00
_cell_angle_beta 95.26
_cell_angle_gamma 90.00
loop_
_space_group_symop_operation_xyz
'x,y,z'
'x,-y,z'
loop_
_atom_site_label
_atom_site_type_symbol
_atom_site_fract_x
_atom_site_fract_y
_atom_site_fract_z
Sm1 Sm 0.000 0.000 0.000
Sm2 Sm 0.000 0.000 0.366
Sm3 Sm 0.201 0.500 0.191
Sm4 Sm 0.282 0.500 0.834
Sm5 Sm 0.512 0.000 0.334
Sm6 Sm 0.534 0.000 0.670
Sm7 Sm 0.807 0.500 0.535
Sm8 Sm 0.874 0.500 0.790
Mg1 Mg 0.630 0.500 0.916
Ti1 Ti 0.098 0.000 0.663
Ti2 Ti 0.299 0.500 0.511
Ti3 Ti 0.482 0.000 0.047
Ti4 Ti 0.753 0.500 0.170
O1 O 0.036 0.000 0.787
O2 O 0.053 0.500 0.644
O3 O 0.056 0.500 0.455
O4 O 0.073 0.500 0.922
O5 O 0.222 0.000 0.279
O6 O 0.261 0.000 0.557
O7 O 0.281 0.000 0.095
O8 O 0.305 0.000 0.737
O9 O 0.397 0.500 0.412
O10 O 0.415 0.000 0.922
O11 O 0.527 0.500 0.581
O12 O 0.536 0.500 0.243
O13 O 0.562 0.500 0.038
O14 O 0.588 0.500 0.781
O15 O 0.698 0.000 0.138
O16 O 0.750 0.000 0.435
O17 O 0.769 0.000 0.908
O18 O 0.814 0.000 0.643
O19 O 0.911 0.500 0.268
O20 O 0.960 0.500 0.098

Entry 5:
# PdN2Cl4 (GGA-PBE, relaxed)
# formation enthalpy at 0 K	1047	meV per atom
# total DFT energy (no corrections)	-2.78	eV per atom
data_PdN2Cl4
_chemical_formula_sum 'Pd1 N2 Cl4'
_space_group_name_H-M_alt 'P 4/m m m'
_space_group_IT_number 123
_space_group_name_Hall '-P 4 2'
_cell_length_a 6.928
_cell_length_b 6.928
_cell_length_c 3.569
_cell_angle_alpha 90.00
_cell_angle_beta 90.00
_cell_angle_gamma 90.00
loop_
_atom_site_label
_atom_site_type_symbol
_atom_site_fract_x
_atom_site_fract_y
_atom_site_fract_z
Pd1 Pd 0.000 0.000 0.000
N1 N 0.000 0.500 0.500
Cl1 Cl 0.232 0.232 0.000

Entry 6:
# MgP4Cl10O6 (GGA-PBE, relaxed)
# formation enthalpy at 0 K	-1639	meV per atom
# total DFT energy (no corrections)	-4.84	eV per atom
data_MgP4Cl10O6
_chemical_formula_sum 'Mg2 P8 Cl20 O12'
_space_group_name_H-M_alt 'P -1'
_space_group_IT_number 2
_cell_length_a 10.135
_cell_length_b 11.291
_cell_length_c 11.597
_cell_angle_alpha 108.28
_cell_angle_beta 96.35
_cell_angle_gamma 116.01
loop_
_space_group_symop_operation_xyz
'x,y,z'
'-x,-y,-z'
loop_
_atom_site_label
_atom_site_type_symbol
_atom_site_fract_x
_atom_site_fract_y
_atom_site_fract_z
Mg1 Mg 0.239 0.007 0.441
P1 P 0.016 0.156 0.417
P2 P 0.090 0.283 0.828
P3 P 0.399 0.785 0.350
P4 P 0.440 0.173 0.252
Cl1 Cl 0.024 0.876 0.772
Cl2 Cl 0.065 0.260 0.990
Cl3 Cl 0.075 0.368 0.502
Cl4 Cl 0.096 0.469 0.853
Cl5 Cl 0.269 0.574 0.322
Cl6 Cl 0.302 0.322 0.830
Cl7 Cl 0.350 0.800 0.706
Cl8 Cl 0.377 0.109 0.063
Cl9 Cl 0.396 0.764 0.167
Cl10 Cl 0.470 0.372 0.321
O1 O 0.029 0.841 0.286
O2 O 0.135 0.934 0.567
O3 O 0.154 0.145 0.455
O4 O 0.313 0.860 0.396
O5 O 0.330 0.072 0.295
O6 O 0.442 0.164 0.578